Li4CrS4: optimized geometry, PBE.

E (MP2020) (eV per atom): -5.021
ΔE_f (eV per atom): -1.26

POSCAR file:
```
Li4CrS4
1.0
-4.704 3.827 -0.762
-4.083 -3.968 5.269
5.134 8.355 10.271
Li S Cr
16 16 4
direct
0.303 0.001 0.178
0.500 0.500 0.000
0.697 0.999 0.822
0.130 0.750 0.914
0.303 0.499 0.178
0.803 0.501 0.322
0.870 0.250 0.086
0.197 0.001 0.678
0.197 0.499 0.678
0.803 0.999 0.322
0.370 0.750 0.414
0.000 0.000 0.500
0.500 0.000 0.000
0.000 0.500 0.500
0.630 0.250 0.586
0.697 0.501 0.822
0.733 0.750 0.940
0.767 0.750 0.440
0.233 0.250 0.560
0.267 0.250 0.060
0.781 0.984 0.655
0.219 0.016 0.345
0.281 0.016 0.845
0.281 0.484 0.845
0.719 0.984 0.155
0.219 0.484 0.345
0.719 0.516 0.155
0.294 0.750 0.584
0.206 0.750 0.084
0.781 0.516 0.655
0.794 0.250 0.916
0.706 0.250 0.416
0.348 0.250 0.413
0.848 0.750 0.087
0.152 0.250 0.913
0.652 0.750 0.587
```

---

Li2CrS4: optimized geometry, PBE.

E (MP2020) (eV per atom): -5.337
ΔE_f (eV per atom): -1.05

POSCAR file:
```
Li2CrS4
1.0
-3.770 -3.447 4.461
-2.285 -5.862 2.532
2.928 -1.971 4.720
S Li Cr
4 2 1
direct
0.937 0.937 0.946
0.063 0.063 0.054
0.365 0.365 0.561
0.635 0.635 0.439
0.292 0.292 0.236
0.708 0.708 0.764
0.000 0.000 0.500
```

---

Li3Cr4S8: optimized geometry, PBE.

E (MP2020) (eV per atom): -6.310
ΔE_f (eV per atom): -1.15

POSCAR file:
```
Li3Cr4S8
1.0
-2.123 7.208 -1.354
-6.099 2.160 -4.054
-6.231 3.409 2.802
Cr Li S
4 3 8
direct
0.488 0.005 0.488
0.005 0.488 0.488
0.488 0.488 0.005
0.999 0.999 0.999
0.138 0.642 0.642
0.642 0.642 0.138
0.642 0.138 0.642
0.729 0.234 0.234
0.731 0.731 0.731
0.765 0.765 0.263
0.263 0.765 0.765
0.765 0.263 0.765
0.234 0.234 0.729
0.234 0.729 0.234
0.259 0.259 0.259
```

---

Li2CrS3: optimized geometry, PBE.

E (MP2020) (eV per atom): -5.490
ΔE_f (eV per atom): -1.18

POSCAR file:
```
Li2CrS3
1.0
-3.157 0.430 5.208
-2.604 -2.461 -4.944
1.967 -11.415 3.359
Li S Cr
8 12 4
direct
0.500 0.000 0.500
0.835 0.676 0.499
0.165 0.324 0.501
0.915 0.085 0.250
0.324 0.165 0.001
0.085 0.915 0.750
0.676 0.835 0.999
0.000 0.500 0.000
0.234 0.050 0.365
0.589 0.127 0.138
0.950 0.766 0.135
0.873 0.411 0.362
0.310 0.489 0.137
0.411 0.873 0.862
0.511 0.690 0.363
0.690 0.511 0.863
0.050 0.234 0.865
0.489 0.310 0.637
0.766 0.950 0.635
0.127 0.589 0.638
0.756 0.244 0.750
0.244 0.756 0.250
0.578 0.422 0.250
0.422 0.578 0.750
```

---

Li2CrS3: optimized geometry, PBE.

E (MP2020) (eV per atom): -5.491
ΔE_f (eV per atom): -1.18

POSCAR file:
```
Li2CrS3
1.0
0.052 -5.458 -2.729
2.206 4.894 -2.901
6.136 -1.271 0.358
Cr S Li
2 6 4
direct
0.333 0.667 0.000
0.667 0.333 0.000
0.716 0.716 0.771
0.076 0.437 0.773
0.284 0.284 0.229
0.924 0.563 0.227
0.437 0.076 0.773
0.563 0.924 0.227
0.000 0.000 0.000
0.500 0.500 0.500
0.160 0.840 0.500
0.840 0.160 0.500
```

---

Li6CrS4: optimized geometry, PBE.

E (MP2020) (eV per atom): -4.722
ΔE_f (eV per atom): -1.30

POSCAR file:
```
Li6CrS4
1.0
-1.760 0.245 7.967
7.125 -3.610 1.685
2.467 5.052 0.390
S Li Cr
8 12 2
direct
0.741 0.000 0.300
0.500 0.759 0.800
0.759 0.500 0.200
0.000 0.741 0.700
0.241 0.500 0.200
0.259 0.000 0.300
0.500 0.241 0.800
0.000 0.259 0.700
0.277 0.723 0.500
0.000 0.500 0.449
0.777 0.223 0.000
0.723 0.723 0.500
0.223 0.777 0.000
0.500 0.000 0.051
0.223 0.223 0.000
0.000 0.500 0.949
0.723 0.277 0.500
0.500 0.000 0.551
0.277 0.277 0.500
0.777 0.777 0.000
0.500 0.500 0.000
0.000 0.000 0.500
```

---

Li2VCrS4: optimized geometry, PBE.

E (MP2020) (eV per atom): -6.175
ΔE_f (eV per atom): -1.29

POSCAR file:
```
Li2VCrS4
1.0
1.732 6.699 0.000
-1.732 6.699 0.000
0.000 2.784 5.475
Li S Cr V
2 4 1 1
direct
0.250 0.250 0.749
0.750 0.750 0.251
0.887 0.887 0.783
0.388 0.388 0.277
0.113 0.113 0.217
0.612 0.612 0.723
0.000 0.000 0.000
0.500 0.500 0.500
```

---

Lu3Mg2CrS8: optimized geometry, PBE.

E (MP2020) (eV per atom): -6.152
ΔE_f (eV per atom): -1.90

POSCAR file:
```
Lu3Mg2CrS8
1.0
-6.934 -2.582 -2.056
-3.547 -5.244 4.204
-6.185 1.882 4.145
S Lu Cr Mg
8 3 1 2
direct
0.731 0.764 0.731
0.744 0.267 0.744
0.256 0.733 0.256
0.269 0.236 0.269
0.726 0.236 0.269
0.731 0.764 0.274
0.274 0.764 0.731
0.269 0.236 0.726
0.500 0.500 0.000
0.500 0.500 0.500
0.000 0.500 0.500
0.500 0.000 0.500
0.125 0.124 0.125
0.875 0.876 0.875
```

---

LuMg2Cr3S8: optimized geometry, PBE.

E (MP2020) (eV per atom): -6.398
ΔE_f (eV per atom): -1.41

POSCAR file:
```
LuMg2Cr3S8
1.0
6.372 0.007 3.691
2.131 6.005 3.691
0.010 0.007 7.364
S Mg Cr Lu
8 2 3 1
direct
0.719 0.248 0.248
0.752 0.281 0.752
0.752 0.752 0.281
0.281 0.752 0.752
0.248 0.248 0.719
0.736 0.736 0.736
0.248 0.719 0.248
0.264 0.264 0.264
0.876 0.876 0.876
0.124 0.124 0.124
0.500 0.000 0.500
0.500 0.500 0.000
0.000 0.500 0.500
0.500 0.500 0.500
```

---

Lu3CrS6: optimized geometry, PBE.

E (MP2020) (eV per atom): -6.794
ΔE_f (eV per atom): -1.99

POSCAR file:
```
Lu3CrS6
1.0
-1.417 -3.358 -0.658
6.476 -4.746 10.279
-12.308 3.372 9.311
S Lu Cr
24 12 4
direct
0.500 0.085 0.923
0.500 0.397 0.254
0.000 0.121 0.109
0.000 0.879 0.891
0.000 0.585 0.577
0.000 0.188 0.289
0.500 0.318 0.023
0.500 0.621 0.391
0.500 0.379 0.609
0.000 0.897 0.246
0.000 0.524 0.099
0.500 0.688 0.211
0.500 0.024 0.401
0.500 0.312 0.789
0.500 0.682 0.977
0.000 0.415 0.423
0.000 0.103 0.754
0.000 0.812 0.711
0.000 0.182 0.523
0.000 0.818 0.477
0.500 0.976 0.599
0.500 0.915 0.077
0.000 0.476 0.901
0.500 0.603 0.746
0.000 0.450 0.719
0.500 0.950 0.781
0.500 0.252 0.402
0.000 0.680 0.851
0.500 0.820 0.351
0.500 0.050 0.219
0.000 0.752 0.098
0.000 0.550 0.281
0.500 0.180 0.649
0.000 0.320 0.149
0.500 0.748 0.598
0.000 0.248 0.902
0.500 0.500 0.500
0.000 0.000 0.000
0.500 0.500 0.000
0.000 0.000 0.500
```

---

LuCr2Si2: optimized geometry, PBE.

E (MP2020) (eV per atom): -7.331
ΔE_f (eV per atom): -0.40

POSCAR file:
```
LuCr2Si2
1.0
-1.905 1.905 5.305
1.905 -1.905 5.305
1.905 1.905 -5.305
Cr Si Lu
2 2 1
direct
0.750 0.250 0.500
0.250 0.750 0.500
0.613 0.613 0.000
0.387 0.387 0.000
0.000 0.000 0.000
```

---

Mg3Cr: optimized geometry, PBE.

ΔE_f (eV per atom): 0.34

POSCAR file:
```
Mg3Cr
1.0
4.886 0.000 0.000
0.000 8.286 0.000
0.000 0.000 8.760
Cr Mg
4 12
direct
0.250 0.402 0.744
0.250 0.098 0.244
0.750 0.598 0.256
0.750 0.902 0.756
0.750 0.262 0.298
0.750 0.238 0.798
0.750 0.903 0.428
0.250 0.738 0.702
0.250 0.450 0.410
0.750 0.550 0.590
0.250 0.050 0.910
0.250 0.762 0.202
0.250 0.403 0.072
0.250 0.097 0.572
0.750 0.950 0.090
0.750 0.597 0.928
```